# 1
A plane-wave DFT calculation with PBE with a Hubbard U was carried out for crystalline Li9Mn2Co5O16 at its relaxed geometry. Values from VASP.

Calculated values
Relative energy among the computed polymorphs = 76 meV/atom
Formation energy from the elements = -1.79 eV/atom
Symmetry = P1 (1)
ρ = 4.128 g/cm³
E = -5.779 eV/atom

Geometry as Quantum ESPRESSO input:
```
&SYSTEM
  ibrav = 0, nat = 32, ntyp = 4
/
ATOMIC_SPECIES
Li 6.94 Li.upf
Mn 54.94 Mn.upf
Co 58.93 Co.upf
O 16.00 O.upf
CELL_PARAMETERS angstrom
-1.373 2.657 -0.435
-8.648 -4.673 1.694
3.476 2.943 8.993
ATOMIC_POSITIONS crystal
Li 0.999 0.252 0.258
Li 0.504 0.500 0.747
Li 0.998 0.751 0.250
Li 0.503 0.501 0.253
Li 0.003 0.748 0.750
Li 0.495 0.999 0.255
Li 0.498 0.000 0.746
Li 0.001 0.249 0.743
Li 0.500 0.250 0.500
Mn 0.000 0.997 0.000
Mn 0.495 0.252 0.000
Co 0.000 0.504 0.000
Co 0.500 0.750 0.500
Co 0.001 0.491 0.499
Co 0.505 0.749 0.001
Co 0.999 0.009 0.501
O 0.468 0.125 0.118
O 0.996 0.391 0.615
O 0.512 0.627 0.115
O 0.967 0.379 0.116
O 0.471 0.626 0.614
O 0.973 0.869 0.113
O 0.007 0.879 0.611
O 0.479 0.115 0.614
O 0.523 0.385 0.386
O 0.032 0.628 0.886
O 0.528 0.874 0.387
O 0.993 0.621 0.390
O 0.527 0.871 0.884
O 0.004 0.109 0.385
O 0.028 0.123 0.884
O 0.490 0.376 0.882
```


# 2
A plane-wave DFT calculation with PBE with a Hubbard U was carried out for crystalline CoSbP2O8 at its relaxed geometry. Values from VASP.

Calculated values
Relative energy among the computed polymorphs = 0 meV/atom
Formation energy from the elements = -2.24 eV/atom
Symmetry = P1 (1)
ρ = 3.831 g/cm³
E = -6.780 eV/atom

Geometry as Quantum ESPRESSO input:
```
&SYSTEM
  ibrav = 0, nat = 48, ntyp = 4
/
ATOMIC_SPECIES
Co 58.93 Co.upf
Sb 121.76 Sb.upf
P 30.97 P.upf
O 16.00 O.upf
CELL_PARAMETERS angstrom
4.223 -0.918 2.404
-4.248 -4.522 7.891
0.938 -11.570 -5.888
ATOMIC_POSITIONS crystal
Co 0.416 0.221 0.899
Co 0.589 0.779 0.655
Co 0.411 0.222 0.344
Co 0.584 0.778 0.101
Sb 0.910 0.299 0.122
Sb 0.970 0.291 0.625
Sb 0.031 0.710 0.375
Sb 0.089 0.700 0.878
P 0.382 0.096 0.126
P 0.425 0.107 0.624
P 0.576 0.894 0.376
P 0.617 0.903 0.873
P 0.873 0.405 0.392
P 0.863 0.408 0.857
P 0.136 0.592 0.144
P 0.128 0.595 0.608
O 0.583 0.043 0.379
O 0.641 0.052 0.871
O 0.358 0.947 0.129
O 0.418 0.958 0.621
O 0.679 0.126 0.128
O 0.725 0.141 0.622
O 0.276 0.860 0.378
O 0.319 0.874 0.871
O 0.179 0.380 0.385
O 0.173 0.384 0.864
O 0.826 0.616 0.137
O 0.822 0.621 0.615
O 0.234 0.442 0.136
O 0.211 0.440 0.623
O 0.790 0.560 0.377
O 0.765 0.558 0.865
O 0.219 0.173 0.033
O 0.248 0.181 0.533
O 0.209 0.171 0.217
O 0.252 0.177 0.716
O 0.749 0.823 0.284
O 0.790 0.828 0.783
O 0.752 0.819 0.467
O 0.779 0.827 0.967
O 0.762 0.364 0.502
O 0.727 0.323 0.939
O 0.724 0.329 0.312
O 0.760 0.357 0.748
O 0.273 0.676 0.061
O 0.239 0.636 0.498
O 0.240 0.644 0.252
O 0.276 0.672 0.688
```


# 3
A plane-wave DFT calculation with PBE with a Hubbard U was carried out for crystalline YWO3 at its relaxed geometry. Values from VASP.

Calculated values
Formation energy from the elements = -2.57 eV/atom
Symmetry = P6_3cm (185)
ρ = 7.562 g/cm³
E = -8.123 eV/atom

Geometry as Quantum ESPRESSO input:
```
&SYSTEM
  ibrav = 0, nat = 30, ntyp = 3
/
ATOMIC_SPECIES
Y 88.91 Y.upf
W 183.84 W.upf
O 16.00 O.upf
CELL_PARAMETERS angstrom
3.108 -5.382 0.000
3.108 5.382 0.000
0.000 0.000 12.632
ATOMIC_POSITIONS crystal
Y 0.667 0.333 0.236
Y 0.333 0.667 0.736
Y 0.667 0.333 0.736
Y 0.333 0.667 0.236
Y 0.000 0.000 0.770
Y 0.000 0.000 0.270
W 0.666 0.000 0.500
W 0.666 0.666 0.000
W 0.000 0.334 0.000
W 0.000 0.666 0.500
W 0.334 0.334 0.500
W 0.334 0.000 0.000
O 0.667 0.333 0.027
O 0.333 0.667 0.527
O 0.667 0.333 0.527
O 0.333 0.667 0.027
O 0.000 0.000 0.973
O 0.000 0.000 0.473
O 0.357 0.000 0.832
O 0.357 0.357 0.332
O 0.000 0.643 0.332
O 0.000 0.357 0.832
O 0.643 0.643 0.832
O 0.643 0.000 0.332
O 0.309 0.000 0.169
O 0.309 0.309 0.669
O 0.000 0.691 0.669
O 0.000 0.309 0.169
O 0.691 0.691 0.169
O 0.691 0.000 0.669
```


# 4
A plane-wave DFT calculation with PBE with a Hubbard U was carried out for crystalline MnP2O7 at its relaxed geometry. Values from VASP.

Calculated values
Relative energy among the computed polymorphs = 1 meV/atom
Formation energy from the elements = -2.38 eV/atom
Symmetry = P2_1/c (14)
ρ = 3.141 g/cm³
E = -7.198 eV/atom

Geometry as Quantum ESPRESSO input:
```
&SYSTEM
  ibrav = 0, nat = 40, ntyp = 3
/
ATOMIC_SPECIES
Mn 54.94 Mn.upf
P 30.97 P.upf
O 16.00 O.upf
CELL_PARAMETERS angstrom
7.838 0.000 0.000
0.000 7.130 0.000
0.000 3.686 8.660
ATOMIC_POSITIONS crystal
Mn 0.000 0.500 0.500
Mn 0.000 0.000 0.000
Mn 0.500 0.000 0.500
Mn 0.500 0.500 0.000
P 0.748 0.657 0.206
P 0.248 0.343 0.294
P 0.822 0.069 0.681
P 0.322 0.931 0.819
P 0.678 0.069 0.181
P 0.178 0.931 0.319
P 0.752 0.657 0.706
P 0.252 0.343 0.794
O 0.902 0.736 0.099
O 0.795 0.551 0.377
O 0.137 0.490 0.334
O 0.637 0.510 0.166
O 0.375 0.152 0.814
O 0.295 0.449 0.123
O 0.958 0.210 0.576
O 0.820 0.061 0.846
O 0.402 0.264 0.401
O 0.639 0.112 0.616
O 0.139 0.888 0.884
O 0.125 0.152 0.314
O 0.320 0.939 0.654
O 0.458 0.790 0.924
O 0.542 0.210 0.076
O 0.680 0.061 0.346
O 0.875 0.848 0.686
O 0.861 0.112 0.116
O 0.361 0.888 0.384
O 0.598 0.736 0.599
O 0.180 0.939 0.154
O 0.042 0.790 0.424
O 0.705 0.551 0.877
O 0.625 0.848 0.186
O 0.363 0.490 0.834
O 0.863 0.510 0.666
O 0.205 0.449 0.623
O 0.098 0.264 0.901
```


# 5
A plane-wave DFT calculation with PBE with a Hubbard U was carried out for crystalline BaCaDyFeO6 at its relaxed geometry. Values from VASP.

Calculated values
Formation energy from the elements = -2.63 eV/atom
Symmetry = F-43m (216)
ρ = 5.964 g/cm³
E = -6.659 eV/atom

Geometry as Quantum ESPRESSO input:
```
&SYSTEM
  ibrav = 0, nat = 10, ntyp = 5
/
ATOMIC_SPECIES
Ba 137.33 Ba.upf
Ca 40.08 Ca.upf
Dy 162.50 Dy.upf
Fe 55.84 Fe.upf
O 16.00 O.upf
CELL_PARAMETERS angstrom
0.000 -4.091 -4.091
4.091 0.000 -4.091
4.091 -4.091 0.000
ATOMIC_POSITIONS crystal
Ba 0.750 0.750 0.750
Ca 0.250 0.250 0.250
Dy 0.000 0.000 0.000
Fe 0.500 0.500 0.500
O 0.731 0.269 0.269
O 0.269 0.731 0.731
O 0.731 0.269 0.731
O 0.269 0.731 0.269
O 0.731 0.731 0.269
O 0.269 0.269 0.731
```


# 6
A plane-wave DFT calculation with PBE with a Hubbard U was carried out for crystalline Li9Mn2Co5O16 at its relaxed geometry. Values from VASP.

Calculated values
Relative energy among the computed polymorphs = 30 meV/atom
Formation energy from the elements = -1.83 eV/atom
Symmetry = P1 (1)
ρ = 4.174 g/cm³
E = -5.824 eV/atom

Geometry as Quantum ESPRESSO input:
```
&SYSTEM
  ibrav = 0, nat = 32, ntyp = 4
/
ATOMIC_SPECIES
Li 6.94 Li.upf
Mn 54.94 Mn.upf
Co 58.93 Co.upf
O 16.00 O.upf
CELL_PARAMETERS angstrom
5.925 0.000 0.000
2.708 7.147 0.000
2.778 2.405 6.792
ATOMIC_POSITIONS crystal
Li 0.377 0.618 0.132
Li 0.234 0.259 0.252
Li 0.624 0.376 0.876
Li 0.499 0.998 0.004
Li 0.874 0.128 0.621
Li 0.754 0.745 0.757
Li 0.126 0.876 0.373
Li 0.007 0.501 0.487
Li 0.875 0.621 0.129
Mn 0.005 0.995 0.003
Mn 0.245 0.749 0.753
Co 0.753 0.254 0.247
Co 0.635 0.869 0.371
Co 0.508 0.500 0.493
Co 0.374 0.133 0.619
Co 0.114 0.380 0.881
O 0.994 0.768 0.238
O 0.853 0.371 0.374
O 0.250 0.506 0.976
O 0.129 0.120 0.110
O 0.491 0.254 0.734
O 0.348 0.876 0.876
O 0.732 0.017 0.480
O 0.594 0.639 0.632
O 0.760 0.476 0.017
O 0.666 0.113 0.119
O 0.011 0.240 0.766
O 0.908 0.874 0.872
O 0.259 0.990 0.519
O 0.127 0.632 0.637
O 0.503 0.747 0.270
O 0.372 0.375 0.380
```


# 7
A plane-wave DFT calculation with PBE with a Hubbard U was carried out for crystalline NaNi2H3S2O10 at its relaxed geometry. Values from VASP.

Calculated values
Relative energy among the computed polymorphs = 0 meV/atom
Formation energy from the elements = -1.70 eV/atom
Symmetry = Cm (8)
ρ = 3.344 g/cm³
E = -5.530 eV/atom

Geometry as Quantum ESPRESSO input:
```
&SYSTEM
  ibrav = 0, nat = 18, ntyp = 5
/
ATOMIC_SPECIES
Na 22.99 Na.upf
Ni 58.69 Ni.upf
H 1.01 H.upf
S 32.06 S.upf
O 16.00 O.upf
CELL_PARAMETERS angstrom
-1.193 4.674 -2.368
-4.726 1.694 1.916
0.953 5.628 4.700
ATOMIC_POSITIONS crystal
Na 0.502 0.502 0.499
Ni 0.003 0.503 0.999
Ni 0.503 0.003 0.999
H 0.306 0.306 0.230
H 0.506 0.506 0.997
H 0.699 0.699 0.767
S 0.097 0.097 0.704
S 0.908 0.908 0.292
O 0.225 0.225 0.495
O 0.349 0.349 0.082
O 0.194 0.194 0.835
O 0.211 0.821 0.246
O 0.184 0.794 0.751
O 0.821 0.211 0.246
O 0.794 0.184 0.751
O 0.811 0.811 0.162
O 0.657 0.657 0.915
O 0.780 0.780 0.502
```


# 8
A plane-wave DFT calculation with PBE with a Hubbard U was carried out for crystalline Tl2NiP4H8O16 at its relaxed geometry. Values from VASP.

Calculated values
Formation energy from the elements = -1.95 eV/atom
Symmetry = P-1 (2)
ρ = 3.685 g/cm³
E = -5.978 eV/atom

Geometry as Quantum ESPRESSO input:
```
&SYSTEM
  ibrav = 0, nat = 31, ntyp = 5
/
ATOMIC_SPECIES
Tl 204.38 Tl.upf
Ni 58.69 Ni.upf
P 30.97 P.upf
H 1.01 H.upf
O 16.00 O.upf
CELL_PARAMETERS angstrom
6.726 0.009 2.155
0.118 7.383 1.026
-0.114 -0.020 7.722
ATOMIC_POSITIONS crystal
Tl 0.897 0.288 0.206
Tl 0.103 0.712 0.794
Ni 0.500 0.500 0.000
P 0.246 0.799 0.251
P 0.754 0.201 0.749
P 0.654 0.736 0.264
P 0.346 0.264 0.736
H 0.932 0.733 0.413
H 0.068 0.267 0.587
H 0.732 0.966 0.044
H 0.268 0.034 0.956
H 0.379 0.315 0.340
H 0.621 0.685 0.660
H 0.391 0.179 0.194
H 0.609 0.821 0.806
O 0.268 0.990 0.151
O 0.732 0.010 0.849
O 0.062 0.783 0.425
O 0.938 0.217 0.575
O 0.253 0.649 0.135
O 0.747 0.351 0.865
O 0.419 0.765 0.354
O 0.581 0.235 0.646
O 0.736 0.669 0.423
O 0.264 0.331 0.577
O 0.740 0.928 0.176
O 0.260 0.072 0.824
O 0.687 0.611 0.118
O 0.313 0.389 0.882
O 0.451 0.289 0.215
O 0.549 0.711 0.785
```


# 9
A plane-wave DFT calculation with PBE with a Hubbard U was carried out for crystalline Ti3FeBi5O15 at its relaxed geometry. Values from VASP.

Calculated values
Relative energy among the computed polymorphs = 0 meV/atom
Formation energy from the elements = -2.36 eV/atom
Symmetry = P2_1 (4)
ρ = 7.813 g/cm³
E = -7.079 eV/atom

Geometry as Quantum ESPRESSO input:
```
&SYSTEM
  ibrav = 0, nat = 48, ntyp = 4
/
ATOMIC_SPECIES
Ti 47.87 Ti.upf
Fe 55.84 Fe.upf
Bi 208.98 Bi.upf
O 16.00 O.upf
CELL_PARAMETERS angstrom
-3.738 -2.867 2.905
3.863 -1.323 3.664
-2.629 16.391 12.799
ATOMIC_POSITIONS crystal
Ti 0.285 0.099 0.303
Ti 0.288 0.402 0.696
Ti 0.785 0.901 0.697
Ti 0.788 0.598 0.304
Ti 0.295 0.305 0.903
Ti 0.795 0.695 0.097
Fe 0.296 0.206 0.096
Fe 0.796 0.794 0.904
Bi 0.229 0.505 0.438
Bi 0.227 0.944 0.562
Bi 0.729 0.495 0.562
Bi 0.727 0.056 0.438
Bi 0.241 0.653 0.205
Bi 0.236 0.857 0.794
Bi 0.741 0.347 0.795
Bi 0.736 0.143 0.206
Bi 0.254 0.760 0.003
Bi 0.754 0.240 0.997
O 0.086 0.818 0.296
O 0.089 0.115 0.704
O 0.586 0.182 0.704
O 0.589 0.885 0.296
O 0.539 0.381 0.275
O 0.538 0.655 0.724
O 0.039 0.619 0.725
O 0.038 0.345 0.276
O 0.617 0.399 0.108
O 0.618 0.491 0.893
O 0.117 0.601 0.892
O 0.118 0.509 0.107
O 0.299 0.116 0.387
O 0.297 0.503 0.612
O 0.799 0.884 0.613
O 0.797 0.497 0.388
O 0.032 0.993 0.074
O 0.037 0.078 0.923
O 0.532 0.007 0.926
O 0.537 0.922 0.077
O 0.339 0.336 0.999
O 0.839 0.664 0.001
O 0.333 0.082 0.191
O 0.333 0.275 0.811
O 0.833 0.918 0.809
O 0.833 0.725 0.189
O 0.000 0.744 0.499
O 0.000 0.242 0.501
O 0.500 0.256 0.501
O 0.500 0.758 0.499
```


# 10
A plane-wave DFT calculation with PBE with a Hubbard U was carried out for crystalline Li4TiFe3Sn2P6O24 at its relaxed geometry. Values from VASP.

Calculated values
Formation energy from the elements = -2.53 eV/atom
Symmetry = P1 (1)
ρ = 3.416 g/cm³
E = -6.954 eV/atom

Geometry as Quantum ESPRESSO input:
```
&SYSTEM
  ibrav = 0, nat = 40, ntyp = 6
/
ATOMIC_SPECIES
Li 6.94 Li.upf
Ti 47.87 Ti.upf
Fe 55.84 Fe.upf
Sn 118.71 Sn.upf
P 30.97 P.upf
O 16.00 O.upf
CELL_PARAMETERS angstrom
9.306 0.310 0.432
4.962 7.849 0.356
5.132 2.859 7.422
ATOMIC_POSITIONS crystal
Li 0.796 0.130 0.402
Li 0.293 0.914 0.627
Li 0.645 0.294 0.897
Li 0.890 0.642 0.304
Ti 0.851 0.839 0.857
Fe 0.169 0.152 0.155
Fe 0.331 0.352 0.313
Fe 0.646 0.654 0.663
Sn 0.041 0.021 0.014
Sn 0.455 0.502 0.470
P 0.036 0.749 0.456
P 0.463 0.037 0.753
P 0.231 0.553 0.954
P 0.546 0.952 0.237
P 0.949 0.236 0.544
P 0.749 0.447 0.042
O 0.154 0.189 0.512
O 0.168 0.555 0.147
O 0.096 0.908 0.263
O 0.538 0.153 0.172
O 0.986 0.803 0.610
O 0.200 0.556 0.461
O 0.267 0.122 0.891
O 0.514 0.196 0.554
O 0.202 0.397 0.973
O 0.548 0.466 0.207
O 0.108 0.748 0.847
O 0.387 0.952 0.229
O 0.617 0.957 0.822
O 0.886 0.250 0.124
O 0.439 0.538 0.831
O 0.815 0.599 0.989
O 0.546 0.828 0.435
O 0.743 0.855 0.100
O 0.821 0.435 0.544
O 0.951 0.210 0.396
O 0.444 0.892 0.740
O 0.860 0.096 0.744
O 0.749 0.450 0.880
O 0.869 0.744 0.465
```


# 11
A plane-wave DFT calculation with PBE with a Hubbard U was carried out for crystalline VRe2O9 at its relaxed geometry. Values from VASP.

Calculated values
Formation energy from the elements = -2.18 eV/atom
Symmetry = Cmc2_1 (36)
Maximum piezoelectric response = 0.40 C/m2
ρ = 4.699 g/cm³
E = -8.064 eV/atom

Geometry as Quantum ESPRESSO input:
```
&SYSTEM
  ibrav = 0, nat = 24, ntyp = 3
/
ATOMIC_SPECIES
V 50.94 V.upf
Re 186.21 Re.upf
O 16.00 O.upf
CELL_PARAMETERS angstrom
2.866 -7.621 0.000
2.866 7.621 0.000
0.000 0.000 9.180
ATOMIC_POSITIONS crystal
V 0.880 0.120 0.782
V 0.120 0.880 0.282
Re 0.516 0.484 0.690
Re 0.484 0.516 0.190
Re 0.230 0.770 0.870
Re 0.770 0.230 0.370
O 0.931 0.069 0.934
O 0.069 0.931 0.434
O 0.574 0.426 0.852
O 0.426 0.574 0.352
O 0.591 0.409 0.548
O 0.409 0.591 0.048
O 0.966 0.545 0.326
O 0.034 0.455 0.826
O 0.455 0.034 0.326
O 0.545 0.966 0.826
O 0.801 0.199 0.553
O 0.199 0.801 0.053
O 0.864 0.136 0.263
O 0.136 0.864 0.763
O 0.805 0.702 0.180
O 0.195 0.298 0.680
O 0.298 0.195 0.180
O 0.702 0.805 0.680
```